No. 1
12
Lattice="3.650 -6.228 0.000 3.650 6.228 0.000 0.000 0.000 6.800" Properties=species:S:1:pos:R:3 comment="Ag2GeSe3, relaxed, DFT meta-GGA r2SCAN" total_magnetization_mub_per_fu=0.00 e_tot_ev_per_fu=-100.9 pbc="T T T"
Ag 2.559 4.252 3.329
Se 5.887 1.974 5.938
Se 4.759 0.000 2.239
Se 2.541 0.000 5.639
Se 5.887 -1.974 5.938
Ag 4.741 -4.252 6.729
Ge 4.803 0.000 6.541
Se 1.413 1.974 2.538
Se 1.413 -1.974 2.538
Ag 2.559 -4.252 3.329
Ge 2.496 0.000 3.141
Ag 4.741 4.252 6.729

No. 2
4
Lattice="-3.914 1.250 0.487 1.477 -0.744 -3.793 -1.483 -4.785 0.361" Properties=species:S:1:pos:R:3 comment="CuSn, relaxed, DFT meta-GGA r2SCAN" total_magnetization_mub_per_fu=0.00 e_tot_ev_per_fu=-35.6 pbc="T T T"
Sn -3.229 -3.004 -0.668
Cu -0.741 -2.393 0.181
Sn -0.691 -1.276 -2.276
Cu 0.000 0.000 0.000

No. 3
68
Lattice="-4.895 3.447 9.110 -3.353 -7.823 1.158 6.448 -5.267 5.458" Properties=species:S:1:pos:R:3 comment="Na8Ga2O7, relaxed, DFT meta-GGA r2SCAN" total_magnetization_mub_per_fu=0.00 e_tot_ev_per_fu=-123.6 pbc="T T T"
O -2.472 -4.073 8.713
O 2.809 -3.554 6.756
O 2.476 -11.535 7.135
Na 2.049 -4.633 8.677
O -4.139 -6.321 5.239
Na 2.812 -7.722 7.446
O 0.444 -9.911 5.440
O -1.328 -6.935 4.196
Na -4.613 -1.920 8.279
O 0.672 -5.569 7.013
O -2.245 0.269 10.286
Ga -1.438 -2.243 3.781
Na -3.168 -5.095 3.488
O 0.315 -1.704 8.776
Ga 0.956 -10.476 7.122
Ga 2.120 -5.111 5.890
Na -1.443 -0.609 12.165
Ga -2.757 0.834 8.604
Na -6.975 -1.820 9.934
Na -1.858 -1.913 9.511
Na -6.503 -4.537 8.136
Ga -2.731 -7.517 5.255
Na -2.340 -7.783 2.207
O -2.964 -0.590 7.438
Na 0.057 -7.729 6.215
O -0.472 -2.707 11.530
Ga -0.363 -7.399 11.945
Na -1.174 -8.967 8.765
O -1.008 -2.792 5.496
Na -1.341 -6.150 8.180
Na -2.548 -6.289 13.356
Na 4.703 -5.105 7.590
Na 0.670 -10.120 10.377
O -3.333 -4.867 11.581
Ga -3.920 -4.531 9.835
O 1.163 -9.053 8.287
Na -0.358 -9.033 3.561
O -4.277 1.892 8.591
O 3.507 -6.334 5.823
Na -2.471 0.478 5.349
O -1.866 -8.384 12.593
Na 0.540 -1.860 13.519
O 1.533 -4.776 4.144
Na -3.181 -7.239 10.683
Na -0.627 -0.675 6.961
Na -2.053 -3.421 12.867
Na -0.459 -3.493 7.546
Na 1.368 -4.547 12.238
O -5.246 -3.157 6.412
Na 1.381 -2.403 5.043
Na 5.174 -7.822 5.791
O 3.445 -6.486 9.314
Na 0.253 -6.222 2.859
O 2.338 -3.321 10.486
O -0.793 -6.850 10.230
Na -0.598 -4.958 5.064
O -5.308 -3.308 9.903
O -0.211 -6.028 13.235
Na -1.202 -4.684 10.662
Na 0.747 -3.353 2.370
Ga 0.931 -2.125 10.471
O -4.609 -6.089 8.970
O 0.065 -1.259 3.132
O -1.589 -3.614 2.491
Na 1.306 -7.327 9.627
Na -3.849 -5.009 7.049
Na -3.107 -2.316 6.098
O -2.115 -7.939 6.950

No. 4
36
Lattice="7.260 -12.575 0.000 7.260 12.575 0.000 0.000 0.000 4.499" Properties=species:S:1:pos:R:3 comment="Ba5Mg18Si13, relaxed, DFT meta-GGA r2SCAN" total_magnetization_mub_per_fu=0.00 e_tot_ev_per_fu=-332.8 pbc="T T T"
Mg 10.483 0.000 2.250
Si 4.558 -7.895 0.000
Mg 10.401 -2.229 0.000
Mg 10.463 7.026 0.000
Mg 6.142 -1.538 2.250
Si 4.655 -3.864 2.250
Ba 7.260 4.192 0.000
Si 4.558 7.895 0.000
Si 4.655 3.864 2.250
Mg 10.117 -4.550 2.250
Si 8.279 -6.611 2.250
Mg 5.521 -6.487 2.250
Si 5.405 0.000 0.000
Mg 2.019 -3.496 2.250
Ba 7.260 -4.192 0.000
Mg 2.019 3.496 2.250
Mg 10.401 2.229 0.000
Mg 6.142 1.538 2.250
Ba 2.620 0.000 2.250
Si 8.846 -2.100 2.250
Mg 7.389 7.893 0.000
Si 1.207 2.091 0.000
Ba 5.950 -10.306 2.250
Si 8.279 6.611 2.250
Mg 10.463 -7.026 0.000
Si 12.106 0.000 0.000
Mg 3.991 2.453 0.000
Si 1.207 -2.091 0.000
Mg 5.521 6.487 2.250
Ba 5.950 10.306 2.250
Si 0.000 0.000 0.000
Si 8.846 2.100 2.250
Mg 7.389 -7.893 0.000
Mg 10.117 4.550 2.250
Mg 3.991 -2.453 0.000
Mg 8.113 0.000 0.000